(1)
Below is an optimized crystal structure of Pm2SiNi, with properties calculated at the r2SCAN level.

Geometry as POSCAR:
```
Pm2SiNi
1.0
0.000 3.544 3.544
3.544 0.000 3.544
3.544 3.544 0.000
Pm Si Ni
2 1 1
Direct
0.250 0.250 0.250
0.750 0.750 0.750
0.000 0.000 0.000
0.500 0.500 0.500
```

For the calculated total energy, the calculation gives -81.36 eV for the cell shown. As for the size of the total moment: 0.000 μB/f.u. The formation energy is -1.5 eV/f.u.

***

(2)
Below is an optimized crystal structure of PrNi2, with properties calculated at the r2SCAN level.

Geometry as POSCAR:
```
PrNi2
1.0
0.000 3.644 3.644
3.644 0.000 3.644
3.644 3.644 0.000
Pr Ni
2 4
Direct
0.125 0.125 0.125
0.875 0.875 0.875
0.000 0.500 0.500
0.500 0.000 0.500
0.500 0.500 0.000
0.500 0.500 0.500
```

For the calculated total energy, the calculation gives -108.06 eV for the cell shown. As for the size of the total moment: 0.000 μB/f.u. The formation energy is -0.7 eV/f.u.

***

(3)
Below is an optimized crystal structure of PrNi, with properties calculated at the r2SCAN level.

Geometry as POSCAR:
```
PrNi
1.0
1.919 -5.332 0.000
1.919 5.332 0.000
0.000 0.000 4.324
Pr Ni
2 2
Direct
0.137 0.863 0.750
0.863 0.137 0.250
0.431 0.569 0.750
0.569 0.431 0.250
```

For the calculated total energy, the calculation gives -83.69 eV for the cell shown. As for the size of the total moment: 0.000 μB/f.u. The formation energy is -0.5 eV/f.u.

***

(4)
Below is an optimized crystal structure of Pr3Ni, with properties calculated at the r2SCAN level.

Geometry as POSCAR:
```
Pr3Ni
1.0
7.041 0.000 0.000
0.000 10.072 0.000
0.000 0.000 6.615
Pr Ni
12 4
Direct
0.035 0.250 0.144
0.171 0.067 0.676
0.171 0.433 0.676
0.329 0.567 0.176
0.329 0.933 0.176
0.465 0.750 0.644
0.535 0.250 0.356
0.671 0.067 0.824
0.671 0.433 0.824
0.829 0.567 0.324
0.829 0.933 0.324
0.965 0.750 0.856
0.115 0.750 0.433
0.385 0.250 0.933
0.615 0.750 0.067
0.885 0.250 0.567
```

For the calculated total energy, the calculation gives -402.83 eV for the cell shown. As for the size of the total moment: 0.000 μB/f.u. The formation energy is -0.5 eV/f.u.

***

(5)
Below is an optimized crystal structure of PrNiSb, with properties calculated at the r2SCAN level.

Geometry as POSCAR:
```
PrNiSb
1.0
4.345 0.000 0.000
-2.173 3.763 0.000
0.000 0.000 4.260
Pr Ni Sb
1 1 1
Direct
0.000 0.000 0.000
0.333 0.667 0.500
0.667 0.333 0.500
```

For the calculated total energy, the calculation gives -69.76 eV for the cell shown. As for the size of the total moment: 0.183 μB/f.u. The formation energy is -2.7 eV/f.u.

***

(6)
Below is an optimized crystal structure of PrNiSb, with properties calculated at the r2SCAN level.

Geometry as POSCAR:
```
PrNiSb
1.0
4.356 0.000 0.000
-2.178 3.773 0.000
0.000 0.000 8.435
Pr Ni Sb
2 2 2
Direct
0.000 0.000 0.000
0.000 0.000 0.500
0.333 0.667 0.250
0.667 0.333 0.750
0.333 0.667 0.750
0.667 0.333 0.250
```

For the calculated total energy, the calculation gives -139.61 eV for the cell shown. As for the size of the total moment: 0.000 μB/f.u. The formation energy is -2.7 eV/f.u.

***

(7)
Below is an optimized crystal structure of PrNiSb3, with properties calculated at the r2SCAN level.

Geometry as POSCAR:
```
PrNiSb3
1.0
12.823 0.000 0.000
0.000 6.254 0.000
0.000 0.000 18.394
Pr Ni Sb
12 12 36
Direct
0.195 0.057 0.250
0.195 0.443 0.750
0.201 0.527 0.084
0.201 0.527 0.416
0.201 0.973 0.584
0.201 0.973 0.916
0.799 0.027 0.084
0.799 0.027 0.416
0.799 0.473 0.584
0.799 0.473 0.916
0.805 0.557 0.250
0.805 0.943 0.750
0.401 0.250 0.000
0.401 0.250 0.500
0.405 0.674 0.675
0.405 0.674 0.825
0.405 0.826 0.175
0.405 0.826 0.325
0.595 0.174 0.675
0.595 0.174 0.825
0.595 0.326 0.175
0.595 0.326 0.325
0.599 0.750 0.000
0.599 0.750 0.500
0.003 0.250 0.000
0.003 0.250 0.500
0.003 0.708 0.666
0.003 0.708 0.834
0.003 0.792 0.166
0.003 0.792 0.334
0.280 0.026 0.084
0.280 0.026 0.416
0.280 0.474 0.584
0.280 0.474 0.916
0.284 0.555 0.250
0.284 0.945 0.750
0.443 0.181 0.250
0.443 0.319 0.750
0.475 0.541 0.086
0.475 0.541 0.414
0.475 0.959 0.586
0.475 0.959 0.914
0.525 0.041 0.086
0.525 0.041 0.414
0.525 0.459 0.586
0.525 0.459 0.914
0.557 0.681 0.250
0.557 0.819 0.750
0.716 0.055 0.250
0.716 0.445 0.750
0.720 0.526 0.084
0.720 0.526 0.416
0.720 0.974 0.584
0.720 0.974 0.916
0.997 0.208 0.666
0.997 0.208 0.834
0.997 0.292 0.166
0.997 0.292 0.334
0.997 0.750 0.000
0.997 0.750 0.500
```

For the calculated total energy, the calculation gives -1462.87 eV for the cell shown. As for the size of the total moment: 0.000 μB/f.u. The formation energy is -3.4 eV/f.u.

***

(8)
Below is an optimized crystal structure of PrNi2Sb2, with properties calculated at the r2SCAN level.

Geometry as POSCAR:
```
PrNi2Sb2
1.0
4.477 0.000 0.000
0.000 4.477 0.000
0.000 0.000 9.938
Pr Ni Sb
2 4 4
Direct
0.250 0.250 0.239
0.750 0.750 0.761
0.250 0.250 0.622
0.250 0.750 0.000
0.750 0.250 0.000
0.750 0.750 0.378
0.250 0.250 0.875
0.250 0.750 0.500
0.750 0.250 0.500
0.750 0.750 0.125
```

For the calculated total energy, the calculation gives -216.37 eV for the cell shown. As for the size of the total moment: 0.000 μB/f.u. The formation energy is -3.4 eV/f.u.

***

(9)
Below is an optimized crystal structure of PrNiSb2, with properties calculated at the r2SCAN level.

Geometry as POSCAR:
```
PrNiSb2
1.0
4.402 0.000 0.000
0.000 4.402 0.000
0.000 0.000 9.893
Pr Ni Sb
2 2 4
Direct
0.250 0.250 0.243
0.750 0.750 0.757
0.250 0.750 0.000
0.750 0.250 0.000
0.250 0.250 0.873
0.250 0.750 0.500
0.750 0.250 0.500
0.750 0.750 0.127
```

For the calculated total energy, the calculation gives -191.97 eV for the cell shown. As for the size of the total moment: 0.000 μB/f.u. The formation energy is -3.2 eV/f.u.

***

(10)
Below is an optimized crystal structure of PrSi2Ni, with properties calculated at the r2SCAN level.

Geometry as POSCAR:
```
PrSi2Ni
1.0
2.091 -8.220 0.000
2.091 8.220 0.000
0.000 0.000 4.063
Pr Si Ni
2 4 2
Direct
0.107 0.893 0.750
0.893 0.107 0.250
0.250 0.750 0.250
0.459 0.541 0.750
0.541 0.459 0.250
0.750 0.250 0.750
0.318 0.682 0.750
0.682 0.318 0.250
```

For the calculated total energy, the calculation gives -124.49 eV for the cell shown. As for the size of the total moment: 0.000 μB/f.u. The formation energy is -3.3 eV/f.u.

***

(11)
Below is an optimized crystal structure of PrSiNi, with properties calculated at the r2SCAN level.

Geometry as POSCAR:
```
PrSiNi
1.0
-2.070 2.070 6.923
2.070 -2.070 6.923
2.070 2.070 -6.923
Pr Si Ni
2 2 2
Direct
0.000 0.000 0.000
0.750 0.250 0.500
0.170 0.670 0.500
0.420 0.420 0.000
0.339 0.839 0.500
0.589 0.589 0.000
```

For the calculated total energy, the calculation gives -104.67 eV for the cell shown. As for the size of the total moment: 0.000 μB/f.u. The formation energy is -2.2 eV/f.u.

***

(12)
Below is an optimized crystal structure of PrSi2Ni2, with properties calculated at the r2SCAN level.

Geometry as POSCAR:
```
PrSi2Ni2
1.0
-2.029 2.029 4.798
2.029 -2.029 4.798
2.029 2.029 -4.798
Pr Si Ni
1 2 2
Direct
0.000 0.000 0.000
0.367 0.367 0.000
0.633 0.633 0.000
0.250 0.750 0.500
0.750 0.250 0.500
```

For the calculated total energy, the calculation gives -74.88 eV for the cell shown. As for the size of the total moment: 0.000 μB/f.u. The formation energy is -4.0 eV/f.u.

***

(13)
Below is an optimized crystal structure of PrSi2Ni9, with properties calculated at the r2SCAN level.

Geometry as POSCAR:
```
PrSi2Ni9
1.0
-4.874 4.874 3.079
4.874 -4.874 3.079
4.874 4.874 -3.079
Pr Si Ni
2 4 18
Direct
0.375 0.625 0.750
0.625 0.375 0.250
0.000 0.000 0.000
0.000 0.000 0.500
0.000 0.500 0.000
0.500 0.000 0.500
0.125 0.875 0.250
0.143 0.564 0.328
0.143 0.814 0.579
0.186 0.265 0.328
0.186 0.857 0.921
0.265 0.186 0.828
0.265 0.436 0.079
0.436 0.265 0.579
0.436 0.857 0.172
0.564 0.143 0.828
0.564 0.735 0.421
0.735 0.564 0.921
0.735 0.814 0.172
0.814 0.143 0.079
0.814 0.735 0.672
0.857 0.186 0.421
0.857 0.436 0.672
0.875 0.125 0.750
```

For the calculated total energy, the calculation gives -319.87 eV for the cell shown. As for the size of the total moment: 0.001 μB/f.u. The formation energy is -5.1 eV/f.u.

***

(14)
Below is an optimized crystal structure of PrNiSn, with properties calculated at the r2SCAN level.

Geometry as POSCAR:
```
PrNiSn
1.0
7.432 0.000 0.000
-3.716 6.436 0.000
0.000 0.000 4.056
Pr Ni Sn
3 3 3
Direct
0.000 0.587 0.000
0.413 0.413 0.000
0.587 0.000 0.000
0.000 0.000 0.000
0.333 0.667 0.500
0.667 0.333 0.500
0.000 0.248 0.500
0.248 0.000 0.500
0.752 0.752 0.500
```

For the calculated total energy, the calculation gives -203.88 eV for the cell shown. As for the size of the total moment: 0.000 μB/f.u. The formation energy is -1.8 eV/f.u.

***

(15)
Below is an optimized crystal structure of Pr6Ni3Sn14, with properties calculated at the r2SCAN level.

Geometry as POSCAR:
```
Pr6Ni3Sn14
1.0
4.578 0.000 0.000
0.000 4.583 0.000
0.000 0.000 27.593
Pr Ni Sn
6 3 14
Direct
0.000 0.000 0.000
0.000 0.000 0.370
0.000 0.500 0.686
0.500 0.000 0.500
0.500 0.000 0.871
0.500 0.500 0.186
0.000 0.500 0.557
0.000 0.500 0.815
0.500 0.500 0.313
0.000 0.000 0.182
0.000 0.000 0.595
0.000 0.000 0.777
0.000 0.500 0.091
0.000 0.500 0.275
0.000 0.500 0.466
0.000 0.500 0.905
0.500 0.000 0.091
0.500 0.000 0.275
0.500 0.000 0.685
0.500 0.500 0.403
0.500 0.500 0.595
0.500 0.500 0.777
0.500 0.500 0.972
```

For the calculated total energy, the calculation gives -572.88 eV for the cell shown. As for the size of the total moment: 0.000 μB/f.u. The formation energy is -14.1 eV/f.u.

***

(16)
Below is an optimized crystal structure of PrNiSn, with properties calculated at the r2SCAN level.

Geometry as POSCAR:
```
PrNiSn
1.0
7.541 0.000 0.000
0.000 4.593 0.000
0.000 0.000 7.628
Pr Ni Sn
4 4 4
Direct
0.021 0.250 0.196
0.479 0.750 0.696
0.521 0.250 0.304
0.979 0.750 0.804
0.187 0.750 0.417
0.313 0.250 0.917
0.687 0.750 0.083
0.813 0.250 0.583
0.184 0.250 0.590
0.316 0.750 0.090
0.684 0.250 0.910
0.816 0.750 0.410
```

For the calculated total energy, the calculation gives -272.05 eV for the cell shown. As for the size of the total moment: 0.000 μB/f.u. The formation energy is -1.9 eV/f.u.

***

(17)
Below is an optimized crystal structure of PrZnNi, with properties calculated at the r2SCAN level.

Geometry as POSCAR:
```
PrZnNi
1.0
7.180 0.000 0.000
-3.590 6.218 0.000
0.000 0.000 3.866
Pr Zn Ni
3 3 3
Direct
0.000 0.585 0.000
0.415 0.415 0.000
0.585 0.000 0.000
0.000 0.228 0.500
0.228 0.000 0.500
0.772 0.772 0.500
0.000 0.000 0.000
0.333 0.667 0.500
0.667 0.333 0.500
```

For the calculated total energy, the calculation gives -153.85 eV for the cell shown. As for the size of the total moment: 0.000 μB/f.u. The formation energy is -1.0 eV/f.u.

***

(18)
Below is an optimized crystal structure of Sc2NiPt, with properties calculated at the r2SCAN level.

Geometry as POSCAR:
```
Sc2NiPt
1.0
0.000 3.226 3.226
3.226 0.000 3.226
3.226 3.226 0.000
Sc Ni Pt
2 1 1
Direct
0.250 0.250 0.250
0.750 0.750 0.750
0.000 0.000 0.000
0.500 0.500 0.500
```

For the calculated total energy, the calculation gives -89.87 eV for the cell shown. As for the size of the total moment: 0.000 μB/f.u. The formation energy is -3.6 eV/f.u.

***

(19)
Below is an optimized crystal structure of Pu2Ni2Sn, with properties calculated at the r2SCAN level.

Geometry as POSCAR:
```
Pu2Ni2Sn
1.0
7.311 0.000 0.000
0.000 7.311 0.000
0.000 0.000 3.716
Pu Ni Sn
4 4 2
Direct
0.180 0.320 0.000
0.320 0.820 0.000
0.680 0.180 0.000
0.820 0.680 0.000
0.121 0.621 0.500
0.379 0.121 0.500
0.621 0.879 0.500
0.879 0.379 0.500
0.000 0.000 0.500
0.500 0.500 0.500
```

For the calculated total energy, the calculation gives -447.26 eV for the cell shown. As for the size of the total moment: 10.108 μB/f.u. The formation energy is -2.2 eV/f.u.

***

(20)
Below is an optimized crystal structure of Rb2Ni3S4, with properties calculated at the r2SCAN level.

Geometry as POSCAR:
```
Rb2Ni3S4
1.0
0.000 4.969 6.879
2.931 0.000 6.879
2.931 4.969 0.000
Rb Ni S
2 3 4
Direct
0.162 0.162 0.838
0.838 0.838 0.162
0.000 0.000 0.500
0.500 0.500 0.000
0.500 0.500 0.500
0.228 0.564 0.436
0.436 0.772 0.228
0.564 0.228 0.772
0.772 0.436 0.564
```

For the calculated total energy, the calculation gives -103.71 eV for the cell shown. As for the size of the total moment: 0.000 μB/f.u. The formation energy is -7.8 eV/f.u.